A plane-wave DFT calculation with GGA-PBE was carried out for an optimized crystal structure of BaBr2O.

Geometry as extended XYZ:
```
16
Lattice="11.321 0.000 0.000 0.000 5.247 0.000 0.000 0.000 8.961" Properties=species:S:1:pos:R:3 pbc="T T T"
Ba 2.179 1.312 1.042
Ba 3.482 3.935 5.523
Ba 7.839 1.312 3.438
Ba 9.143 3.935 7.919
Br 1.191 3.935 3.015
Br 1.258 3.935 8.029
Br 4.403 1.312 3.549
Br 4.469 1.312 7.496
Br 6.852 3.935 1.465
Br 6.919 3.935 5.413
Br 10.063 1.312 0.932
Br 10.130 1.312 5.946
O 2.757 1.312 5.591
O 2.903 3.935 1.111
O 8.418 1.312 7.851
O 8.564 3.935 3.370
```

- Space-group type: Pnma, No. 62
- Calculated density: 3.91 g/cm3
- Distance to the lowest polymorph of the same formula: 0.303 eV/atom
- Formation energy from the elements: -1403 meV/atom